PBE U2Al19Co6, optimized geometry; space group = C2/m, No. 12; formation enthalpy at 0 K = -395 meV per atom; volume = 832 Å³/cell; size of the total moment = 4.9 μB per formula unit
1.0
8.753 -6.003 0.000
8.753 6.003 0.000
-1.966 0.000 7.918
U Al Co
4 38 12
Cartesian
3.386 0.000 1.771 U
2.365 0.000 5.903 U
13.175 0.000 2.015 U
12.155 0.000 6.147 U
3.948 2.996 1.896 Al
5.054 4.023 4.366 Al
6.192 3.915 0.429 Al
7.108 4.590 2.785 Al
6.179 4.582 6.691 Al
9.361 4.582 1.227 Al
8.432 4.590 5.133 Al
4.479 1.385 4.221 Al
5.746 1.348 0.366 Al
7.029 2.086 5.045 Al
9.348 3.915 7.489 Al
10.486 4.023 3.552 Al
8.753 2.012 0.000 Al
8.511 2.086 2.873 Al
5.573 0.000 6.448 Al
6.612 0.000 2.812 Al
4.479 -1.385 4.221 Al
5.746 -1.348 0.366 Al
11.593 2.996 6.022 Al
3.948 -2.996 1.896 Al
9.795 1.348 7.552 Al
11.061 1.385 3.697 Al
8.928 0.000 5.106 Al
9.967 0.000 1.470 Al
7.029 -2.086 5.045 Al
8.753 -2.012 0.000 Al
5.054 -4.023 4.366 Al
6.192 -3.915 0.429 Al
8.511 -2.086 2.873 Al
9.795 -1.348 7.552 Al
11.061 -1.385 3.697 Al
7.108 -4.590 2.785 Al
6.179 -4.582 6.691 Al
9.361 -4.582 1.227 Al
8.432 -4.590 5.133 Al
9.348 -3.915 7.489 Al
10.486 -4.023 3.552 Al
11.593 -2.996 6.022 Al
0.270 0.000 3.208 Co
-0.663 0.000 7.186 Co
5.038 2.393 6.422 Co
6.076 2.371 2.612 Co
9.465 2.371 5.306 Co
10.502 2.393 1.496 Co
5.038 -2.393 6.422 Co
6.076 -2.371 2.612 Co
9.465 -2.371 5.306 Co
10.502 -2.393 1.496 Co
16.203 0.000 0.732 Co
15.270 0.000 4.710 Co